Computed, not measured: Na24Ca10Nb2Si9S9O72 after structural relaxation at the PBE level of DFT.

Values from the calculation:
ΔH_f (0 K)	-2628	meV per atom
V	1801.0	Å³ per cell
symmetry	No. 1
electronic total energy	-795.96	eV/cell

a = 9.538 Å, b = 9.504 Å, c = 22.950 Å
α = 89.69°, β = 89.95°, γ = 120.03°
Sites, in units of the cell vectors:
Na (0.645, 0.002, 0.247)
Na (0.376, 0.343, 0.259)
Na (0.996, 0.659, 0.252)
Na (0.648, 0.640, 0.755)
Na (0.978, 0.337, 0.756)
Na (0.363, 0.026, 0.758)
Na (0.289, 0.329, 0.592)
Na (0.032, 0.708, 0.600)
Na (0.671, 0.961, 0.593)
Na (0.294, 0.959, 0.075)
Na (0.670, 0.706, 0.088)
Na (0.036, 0.332, 0.068)
Na (0.984, 0.677, 0.900)
Na (0.718, 0.056, 0.896)
Na (0.308, 0.271, 0.900)
Na (0.971, 0.282, 0.420)
Na (0.339, 0.059, 0.405)
Na (0.694, 0.677, 0.410)
Na (0.000, 0.018, 0.493)
Na (0.013, 0.012, 0.982)
Na (0.668, 0.323, 0.824)
Na (0.639, 0.321, 0.333)
Na (0.338, 0.680, 0.170)
Na (0.340, 0.665, 0.680)
Ca (0.003, 0.999, 0.347)
Ca (0.002, 0.001, 0.844)
Ca (0.000, 0.007, 0.668)
Ca (0.001, 0.987, 0.159)
Ca (0.664, 0.331, 0.686)
Ca (0.661, 0.329, 0.184)
Ca (0.667, 0.325, 0.974)
Ca (0.657, 0.330, 0.477)
Ca (0.328, 0.667, 0.009)
Ca (0.341, 0.667, 0.514)
Nb (0.356, 0.678, 0.319)
Nb (0.318, 0.667, 0.817)
Si (0.308, 0.989, 0.251)
Si (0.689, 0.690, 0.251)
Si (0.310, 0.320, 0.750)
Si (0.000, 0.691, 0.750)
Si (0.681, 0.989, 0.751)
Si (0.035, 0.367, 0.920)
Si (0.333, 0.966, 0.920)
Si (0.641, 0.975, 0.420)
Si (0.329, 0.368, 0.419)
S (0.010, 0.315, 0.250)
S (0.968, 0.332, 0.580)
S (0.357, 0.029, 0.581)
S (0.673, 0.640, 0.581)
S (0.968, 0.634, 0.085)
S (0.673, 0.030, 0.085)
S (0.363, 0.336, 0.085)
S (0.629, 0.667, 0.918)
S (0.042, 0.665, 0.416)
O (0.229, 0.030, 0.307)
O (0.800, 0.777, 0.307)
O (0.985, 0.214, 0.302)
O (0.224, 0.195, 0.804)
O (0.967, 0.772, 0.806)
O (0.803, 0.024, 0.805)
O (0.744, 0.945, 0.691)
O (0.199, 0.260, 0.691)
O (0.046, 0.803, 0.692)
O (0.752, 0.801, 0.192)
O (0.034, 0.238, 0.197)
O (0.198, 0.947, 0.192)
O (0.878, 0.337, 0.632)
O (0.455, 0.112, 0.633)
O (0.665, 0.544, 0.632)
O (0.887, 0.544, 0.139)
O (0.659, 0.108, 0.139)
O (0.453, 0.343, 0.139)
O (0.447, 0.323, 0.033)
O (0.871, 0.547, 0.034)
O (0.681, 0.127, 0.034)
O (0.441, 0.121, 0.527)
O (0.679, 0.557, 0.527)
O (0.878, 0.325, 0.526)
O (0.559, 0.682, 0.974)
O (0.128, 0.439, 0.981)
O (0.327, 0.884, 0.983)
O (0.553, 0.873, 0.477)
O (0.306, 0.442, 0.478)
O (0.132, 0.680, 0.470)
O (0.135, 0.657, 0.363)
O (0.514, 0.849, 0.362)
O (0.328, 0.493, 0.363)
O (0.163, 0.494, 0.867)
O (0.333, 0.839, 0.868)
O (0.525, 0.658, 0.869)
O (0.021, 0.809, 0.411)
O (0.817, 0.990, 0.413)
O (0.175, 0.185, 0.411)
O (0.005, 0.184, 0.913)
O (0.169, 0.977, 0.914)
O (0.794, 0.812, 0.914)
O (0.985, 0.184, 0.581)
O (0.194, 0.018, 0.583)
O (0.821, 0.805, 0.582)
O (0.983, 0.800, 0.086)
O (0.824, 0.019, 0.086)
O (0.195, 0.190, 0.087)
O (0.643, 0.137, 0.746)
O (0.495, 0.357, 0.745)
O (0.860, 0.502, 0.745)
O (0.656, 0.505, 0.247)
O (0.868, 0.339, 0.244)
O (0.497, 0.135, 0.246)
O (0.639, 0.516, 0.918)
O (0.869, 0.376, 0.912)
O (0.499, 0.141, 0.910)
O (0.643, 0.146, 0.410)
O (0.504, 0.375, 0.410)
O (0.881, 0.514, 0.415)
O (0.352, 0.488, 0.084)
O (0.133, 0.653, 0.084)
O (0.528, 0.861, 0.084)
O (0.333, 0.860, 0.581)
O (0.523, 0.656, 0.582)
O (0.131, 0.483, 0.581)
O (0.311, 0.813, 0.263)
O (0.498, 0.668, 0.262)
O (0.160, 0.481, 0.255)
O (0.326, 0.502, 0.765)
O (0.172, 0.679, 0.762)
O (0.501, 0.821, 0.766)